(1)
DFT (PBE-GGA) results for CsMg14Ti after structural relaxation.

magnetization = 1.56 Bohr magnetons per cell
relative energy among the computed polymorphs = 0 kJ/mol of formula units
DFT formation energy = 224 meV per atom

abc: 6.5537 6.5537 10.7465
angles: 90.00 90.00 120.00
Closest atoms and distances in Å follow each position.
Space group P-6m2 (No. 187)
One atom of each set of equivalent atoms:
Cs (0.0000, 0.0000, 0.0000)  12 Mg 3.28-3.51
Mg (0.0088, 0.5044, 0.0000)  10 Mg 3.19-3.47, 2 Cs 3.28
Mg (0.1694, 0.3389, 0.2728)  8 Mg 3.09-3.33, 1 Ti 3.11
Mg (0.5039, 0.0079, 0.5000)  10 Mg 3.09-3.35, 2 Ti 3.28
Mg (0.6667, 0.3333, 0.2441)  12 Mg 3.26-3.31
Ti (0.0000, 0.0000, 0.5000)  12 Mg 3.11-3.28



(2)
DFT (PBE-GGA) results for CsMg14Ti after structural relaxation.

magnetization = 3.15 Bohr magnetons per cell
relative energy among the computed polymorphs = 23 kJ/mol of formula units
DFT formation energy = 239 meV per atom

abc: 10.6035 6.5733 11.2943
angles: 90.00 90.00 90.00
Closest atoms and distances in Å follow each position.
Space group Amm2 (No. 38)
One atom of each set of equivalent atoms:
Cs (0.0000, 0.0000, 0.0000)  10 Mg 3.24-3.43, 2 Ti 3.29
Mg (0.0000, 0.2497, 0.2476)  2 Ti 3.15-3.39, 8 Mg 3.22-3.40, 2 Cs 3.24-3.29
Mg (0.2433, 0.0000, 0.6591)  11 Mg 3.21-3.34, 1 Ti 3.24
Mg (0.2615, 0.2365, 0.4111)  10 Mg 3.11-3.46, 1 Ti 3.29, 1 Cs 3.42
Mg (0.2687, 0.0000, 0.1698)  11 Mg 3.09-3.40, 1 Cs 3.43
Mg (0.5000, 0.0000, 0.4967)  12 Mg 3.12-3.29
Mg (0.5000, 0.0000, 0.9949)  12 Mg 3.15-3.29
Mg (0.5000, 0.2467, 0.7459)  12 Mg 3.09-3.33
Ti (0.0000, 0.0000, 0.4855)  10 Mg 3.15-3.39, 2 Cs 3.29



(3)
DFT (PBE-GGA) results for CsMg6Ti after structural relaxation.

magnetization = 2.06 Bohr magnetons per cell
relative energy among the computed polymorphs = 0 kJ/mol of formula units
DFT formation energy = 310 meV per atom

abc: 8.0034 8.0034 3.4281
angles: 90.00 90.00 90.00
Closest atoms and distances in Å follow each position.
Space group P4/mmm (No. 123)
One atom of each set of equivalent atoms:
Cs (0.0000, 0.0000, 0.0000)  2 Cs 3.43, 8 Mg 3.72
Mg (0.0000, 0.5000, 0.0000)  10 Mg 3.34-3.43
Mg (0.2922, 0.2922, 0.5000)  2 Ti 2.91
Ti (0.5000, 0.5000, 0.0000)  8 Mg 2.91



(4)
DFT (PBE-GGA) results for CsMg6Ti after structural relaxation.

magnetization = 3.10 Bohr magnetons per cell
relative energy among the computed polymorphs = 108 kJ/mol of formula units
DFT formation energy = 450 meV per atom

abc: 5.4406 6.7566 11.7521
angles: 90.00 90.00 90.00
Closest atoms and distances in Å follow each position.
Space group Amm2 (No. 38)
One atom of each set of equivalent atoms:
Cs (0.0000, 0.0000, 0.0000)  10 Mg 3.35-3.43, 2 Ti 3.56
Mg (0.0000, 0.0000, 0.5091)  10 Mg 3.31-3.40, 2 Cs 3.38
Mg (0.0000, 0.2316, 0.2522)  7 Mg 3.13-3.40, 2 Ti 3.21, 2 Cs 3.35-3.43
Mg (0.5000, 0.0000, 0.6725)  10 Mg 3.33-3.42, 2 Ti 3.39
Mg (0.5000, 0.2285, 0.4180)  1 Ti 3.03, 6 Mg 3.09-3.37
Ti (0.5000, 0.0000, 0.1957)  8 Mg 3.03-3.39